1.
! Ca2Fe2Si5O15 PBE with a Hubbard U optimized geometry; values from VASP
&SYSTEM
  ibrav = 0, nat = 48, ntyp = 4
/
ATOMIC_SPECIES
Ca 40.08 Ca.upf
Fe 55.84 Fe.upf
Si 28.09 Si.upf
O 16.00 O.upf
CELL_PARAMETERS angstrom
6.695 0.000 0.000
-0.496 7.485 0.000
-0.650 -2.817 11.516
ATOMIC_POSITIONS angstrom
Ca 0.644 0.837 5.246
Ca 1.616 5.415 0.202
Ca 3.933 -0.747 11.314
Ca 4.905 3.831 6.270
Fe 0.304 0.259 1.727
Fe 0.493 2.065 8.414
Fe 5.056 2.603 3.102
Fe 5.246 4.409 9.789
Si 0.162 5.192 3.868
Si 0.638 -0.366 10.857
Si 1.745 2.985 2.436
Si 1.568 4.326 6.374
Si 1.824 4.931 9.363
Si 3.725 -0.263 2.153
Si 3.981 0.342 5.143
Si 3.804 1.683 9.081
Si 4.911 5.034 0.660
Si 5.387 -0.524 7.648
O -0.514 -1.504 11.165
O 0.253 -0.811 3.319
O -0.061 0.495 7.451
O 0.519 1.941 2.804
O 0.184 1.016 10.166
O 0.454 3.142 6.739
O 0.737 5.424 5.394
O 0.611 3.863 9.751
O 1.235 4.529 2.766
O 1.945 3.017 0.765
O 2.280 0.007 1.408
O 1.897 -1.099 10.093
O 1.903 5.160 7.775
O 2.386 2.101 8.509
O 2.678 0.827 5.863
O 2.871 3.841 5.653
O 3.163 2.568 3.007
O 3.646 -0.492 3.741
O 3.652 5.767 1.423
O 3.269 4.661 10.108
O 3.604 1.651 10.752
O 4.314 0.139 8.751
O 4.939 0.805 1.766
O 4.812 -0.756 6.123
O 5.095 1.526 4.777
O 5.365 3.652 1.350
O 5.030 2.727 8.713
O 5.610 4.174 4.066
O 5.296 5.479 8.197
O 6.063 6.172 0.351
! Space-group type ... P-1 (2)
! DFT total energy ... -178.59 eV/f.u.
! Magnetization ... 19.99 μB/cell
! Energy of formation from the pure elements ... -285.9 kJ per mole of atoms


2.
! Li2VOF3 PBE with a Hubbard U optimized geometry; values from VASP
&SYSTEM
  ibrav = 0, nat = 28, ntyp = 4
/
ATOMIC_SPECIES
Li 6.94 Li.upf
V 50.94 V.upf
F 19.00 F.upf
O 16.00 O.upf
CELL_PARAMETERS angstrom
-0.053 4.223 4.223
8.488 -0.054 -0.054
0.000 4.296 -4.296
ATOMIC_POSITIONS angstrom
Li 7.374 7.538 -1.054
Li 5.278 5.160 0.864
Li 4.244 4.269 -4.323
Li 3.157 3.305 -0.991
Li 1.061 5.224 -3.368
Li 4.217 6.381 -2.211
Li -0.026 4.259 -0.037
Li -0.053 6.371 2.075
V 6.353 4.238 -2.207
V 2.082 6.376 -0.068
V 2.082 4.228 2.080
V 6.353 2.090 -0.058
F 2.133 6.415 -2.177
F 8.369 4.148 -2.190
F 2.031 6.336 2.040
F 4.098 4.139 2.096
F 6.302 2.050 2.050
F 4.337 2.073 0.031
F 4.098 6.392 -0.157
F 0.066 4.317 2.063
F 8.369 2.106 -0.148
F 6.404 2.129 -2.167
F 4.337 4.327 -2.223
F 0.066 6.360 0.021
O 6.387 4.027 -0.269
O 6.319 4.448 -4.144
O 2.048 4.438 0.142
O 2.116 4.018 4.018
! Energy above the most stable polymorph in this dataset ... 0.0153 eV/atom
! DFT total energy ... -40.63 eV/f.u.
! Magnetization ... 0.00 μB/cell
! Energy of formation from the pure elements ... -286.8 kJ per mole of atoms